(1)
H8PdS8N2O26 after structural relaxation, computed with PBE.

a b c (Å): 7.7427 9.0052 9.6357
angles (deg): 108.46 90.10 105.86
Last column: nearest neighbours and their distance in Å.
Fractional positions:
S (0.3944, 0.1585, 0.2254)  3 O 1.43-1.49
H (0.2023, 0.2568, 0.9772)  1 N 1.03
O (0.4867, 0.2852, 0.7264)  1 S 1.43
S (0.2104, 0.7716, 0.8008)  3 O 1.42-1.58
O (0.0372, 0.2953, 0.5778)  1 S 1.42
N (0.8644, 0.7338, 0.1114)  4 H 1.03
S (0.6056, 0.8415, 0.7746)  3 O 1.43-1.49
O (0.0968, 0.8686, 0.8712)  1 S 1.43
H (0.8772, 0.6177, 0.0872)  1 N 1.03
H (0.7977, 0.7432, 0.0228)  1 N 1.03
H (0.0097, 0.1821, 0.8639)  1 N 1.03
O (0.9032, 0.1314, 0.1288)  1 S 1.43
O (0.3035, 0.5183, 0.3721)  1 S 1.50
O (0.5975, 0.1041, 0.1892)  1 S 1.58
O (0.4025, 0.8959, 0.8108)  1 S 1.58
H (0.1228, 0.3823, 0.9128)  1 N 1.03
O (0.6965, 0.4817, 0.6279)  1 S 1.50
O (0.5133, 0.7148, 0.2736)  1 S 1.43
O (0.7248, 0.0017, 0.7981)  1 S 1.43
O (0.1470, 0.6963, 0.6232)  2 S 1.65-1.67
O (0.1356, 0.9692, 0.6107)  1 S 1.43
O (0.3783, 0.2457, 0.1264)  1 S 1.44
O (0.7796, 0.3685, 0.1645)  1 S 1.42
O (0.5696, 0.7442, 0.6154)  1 S 1.49
O (0.4304, 0.2558, 0.3846)  1 S 1.49
S (0.7896, 0.2284, 0.1992)  3 O 1.42-1.58
S (0.8805, 0.1939, 0.4812)  3 O 1.42-1.58
S (0.6690, 0.3566, 0.7039)  3 O 1.43-1.50
S (0.1195, 0.8061, 0.5188)  3 O 1.42-1.58
O (0.7040, 0.1869, 0.5643)  1 S 1.58
Pd (0.5000, 0.5000, 0.5000)  4 O 2.03-2.04
H (0.2091, 0.2427, 0.7992)  1 N 1.03
O (0.8114, 0.4053, 0.8190)  1 S 1.44
N (0.1356, 0.2662, 0.8886)  4 H 1.03
O (0.2752, 0.9983, 0.2019)  1 S 1.43
O (0.6217, 0.7543, 0.8736)  1 S 1.44
S (0.3310, 0.6434, 0.2961)  3 O 1.43-1.50
H (0.9903, 0.8179, 0.1361)  1 N 1.03
O (0.1886, 0.5947, 0.1810)  1 S 1.44
O (0.9628, 0.7047, 0.4222)  1 S 1.42
O (0.8644, 0.0308, 0.3893)  1 S 1.43
H (0.7909, 0.7573, 0.2008)  1 N 1.03
O (0.8530, 0.3037, 0.3768)  2 S 1.65-1.67
O (0.2960, 0.8131, 0.4357)  1 S 1.58
O (0.2204, 0.6315, 0.8355)  1 S 1.42

Summary:
E (MP2020): -6.09 eV per atom
symmetry: No. 2
total DFT energy (no corrections): -0.2092 Ha/atom

***

(2)
NaInI4O12 after structural relaxation, computed with PBE.

a b c (Å): 5.0845 7.3155 15.8392
angles (deg): 78.79 90.00 90.00
Last column: nearest neighbours and their distance in Å.
Fractional positions:
In (0.0000, 0.0000, 0.5000)  6 O 2.16-2.21
O (0.8461, 0.6025, 0.9088)  1 I 1.81
I (0.0078, 0.8189, 0.8627)  3 O 1.81-1.87
I (0.5078, 0.1811, 0.6373)  3 O 1.81-1.87
O (0.7734, 0.4511, 0.7067)  1 I 1.84
O (0.3278, 0.2557, 0.9272)  1 I 1.87
O (0.1722, 0.2557, 0.4272)  1 I 1.87
In (0.5000, 0.0000, 0.0000)  6 O 2.16-2.21
I (0.4922, 0.8189, 0.3627)  3 O 1.81-1.87
I (0.5941, 0.6671, 0.6637)  3 O 1.84-1.87
O (0.2916, 0.0028, 0.6036)  1 I 1.86
Na (0.0000, 0.5000, 0.5000)  6 O 2.31-2.51
O (0.7396, 0.1987, 0.0503)  1 I 1.87
O (0.6539, 0.6025, 0.4088)  1 I 1.81
I (0.0941, 0.3329, 0.8363)  3 O 1.84-1.87
O (0.6722, 0.7443, 0.0728)  1 I 1.87
O (0.2396, 0.8013, 0.4497)  1 I 1.87
O (0.2266, 0.5489, 0.2933)  1 I 1.84
O (0.8278, 0.7443, 0.5728)  1 I 1.87
O (0.2084, 0.0028, 0.1036)  1 I 1.86
O (0.1539, 0.3975, 0.0912)  1 I 1.81
I (0.9922, 0.1811, 0.1373)  3 O 1.81-1.87
I (0.4059, 0.3329, 0.3363)  3 O 1.84-1.87
O (0.1978, 0.1692, 0.7685)  1 I 1.84
O (0.3022, 0.1692, 0.2685)  1 I 1.84
Na (0.5000, 0.5000, 0.0000)  6 O 2.31-2.51
O (0.8022, 0.8308, 0.2315)  1 I 1.84
O (0.6978, 0.8308, 0.7315)  1 I 1.84
I (0.9059, 0.6671, 0.1637)  3 O 1.84-1.87
O (0.7604, 0.1987, 0.5503)  1 I 1.87
O (0.2734, 0.5489, 0.7933)  1 I 1.84
O (0.7266, 0.4511, 0.2067)  1 I 1.84
O (0.2604, 0.8013, 0.9497)  1 I 1.87
O (0.7084, 0.9972, 0.3964)  1 I 1.86
O (0.3461, 0.3975, 0.5912)  1 I 1.81
O (0.7916, 0.9972, 0.8964)  1 I 1.86

Summary:
E (MP2020): -5.00 eV per atom
symmetry: No. 14
total DFT energy (no corrections): -0.1670 Ha/atom

***

(3)
Te2MoW2Se2S2 after structural relaxation, computed with PBE.

a b c (Å): 3.3514 3.3514 30.9838
angles (deg): 90.00 90.00 120.00
Last column: nearest neighbours and their distance in Å.
Fractional positions:
S (0.3333, 0.6667, 0.2981)  3 Mo 2.46
S (0.3333, 0.6667, 0.3959)  3 Mo 2.46
W (0.3333, 0.6667, 0.1157)  6 Se 2.56
Te (0.6667, 0.3333, 0.5168)  3 W 2.72
Se (0.6667, 0.3333, 0.1696)  3 W 2.56
Se (0.6667, 0.3333, 0.0617)  3 W 2.56
Mo (0.6667, 0.3333, 0.3470)  6 S 2.46
Te (0.6667, 0.3333, 0.6398)  3 W 2.71
W (0.3333, 0.6667, 0.5783)  6 Te 2.71-2.72

Summary:
E (MP2020): -7.04 eV per atom
symmetry: No. 156
total DFT energy (no corrections): -0.2546 Ha/atom

***

(4)
YAlPd after structural relaxation, computed with PBE.

a b c (Å): 7.1654 7.1654 4.0823
angles (deg): 90.00 90.00 120.00
Last column: nearest neighbours and their distance in Å.
Fractional positions:
Y (0.5838, 0.0000, 0.5000)  5 Pd 2.97-2.98, 6 Al 3.22-3.30
Al (0.0000, 0.2370, 0.0000)  4 Pd 2.66-2.80, 2 Al 2.94
Al (0.2370, 0.0000, 0.0000)  4 Pd 2.66-2.80, 2 Al 2.94
Y (0.0000, 0.5838, 0.5000)  5 Pd 2.97-2.98, 6 Al 3.22-3.30
Pd (0.6667, 0.3333, 0.0000)  3 Al 2.80, 6 Y 2.97
Al (0.7630, 0.7630, 0.0000)  4 Pd 2.66-2.80, 2 Al 2.94
Pd (0.3333, 0.6667, 0.0000)  3 Al 2.80, 6 Y 2.97
Y (0.4162, 0.4162, 0.5000)  5 Pd 2.97-2.98, 6 Al 3.22-3.30
Pd (0.0000, 0.0000, 0.5000)  6 Al 2.66

Summary:
symmetry: No. 189
total DFT energy (no corrections): -0.2209 Ha/atom

***

(5)
AsBr3F6 after structural relaxation, computed with PBE.

a b c (Å): 5.7872 7.8757 9.9589
angles (deg): 88.03 82.20 82.51
Last column: nearest neighbours and their distance in Å.
Fractional positions:
F (0.4561, 0.9984, 0.7400)  1 As 1.77
F (0.2150, 0.8621, 0.9329)  1 As 1.78
F (0.3614, 0.2966, 0.3376)  1 As 1.76
F (0.6552, 0.7922, 0.9019)  1 As 1.75
As (0.5660, 0.2147, 0.2012)  6 F 1.75-1.81
F (0.3448, 0.2078, 0.0981)  1 As 1.75
As (0.4340, 0.7853, 0.7988)  6 F 1.75-1.81
Br (0.9091, 0.6111, 0.1800)  1 Br 2.33, 1 F 2.50
F (0.5439, 0.0016, 0.2600)  1 As 1.77
F (0.8006, 0.2246, 0.3026)  1 As 1.81
F (0.4002, 0.5690, 0.8578)  1 As 1.81
F (0.7850, 0.1379, 0.0671)  1 As 1.78
Br (0.8032, 0.2281, 0.5499)  1 Br 2.33, 1 F 2.47
Br (0.1779, 0.7945, 0.2173)  2 Br 2.33
F (0.5998, 0.4310, 0.1422)  1 As 1.81
F (0.6386, 0.7034, 0.6624)  1 As 1.76
Br (0.1968, 0.7719, 0.4501)  1 Br 2.33, 1 F 2.47
Br (0.0909, 0.3889, 0.8200)  1 Br 2.33, 1 F 2.50
Br (0.8221, 0.2055, 0.7827)  2 Br 2.33
F (0.1994, 0.7754, 0.6974)  1 As 1.81

Summary:
E (MP2020): -3.77 eV per atom
symmetry: No. 2
total DFT energy (no corrections): -0.1285 Ha/atom